No. 1
# LiTiP5O15, optimized geometry, DFT PBE-GGA
# Space group   No. 14
# E   -641.6 eV for the cell shown
# Formation energy   -2.709 eV/atom
# Calculated density   2.4 Mg/m³
data_LiTiP5O15
_cell_length_a 13.746
_cell_length_b 8.926
_cell_length_c 10.408
_cell_angle_alpha 78.74
_cell_angle_beta 90.00
_cell_angle_gamma 90.00
_symmetry_space_group_name_H-M 'P 1'
_symmetry_Int_Tables_number 1
loop_
_symmetry_equiv_pos_as_xyz
'x,y,z'
loop_
_atom_site_label
_atom_site_fract_x
_atom_site_fract_y
_atom_site_fract_z
O1 0.380 0.502 0.613
O2 0.120 0.502 0.113
P1 0.751 0.017 0.978
O3 0.488 0.092 0.347
O4 0.620 0.496 0.892
O5 0.459 0.067 0.864
O6 0.649 0.702 0.182
O7 0.251 0.532 0.274
P2 0.359 0.476 0.254
Ti1 0.000 0.500 0.000
P3 0.144 0.473 0.257
O8 0.880 0.496 0.392
O9 0.768 0.123 0.853
O10 0.357 0.299 0.309
Ti2 0.000 0.500 0.500
O11 0.541 0.933 0.136
O12 0.857 0.701 0.191
O13 0.988 0.908 0.153
Li1 0.373 0.930 0.767
O14 0.477 0.288 0.994
O15 0.231 0.937 0.395
O16 0.845 0.897 0.989
O17 0.922 0.444 0.661
O18 0.643 0.701 0.691
O19 0.345 0.103 0.511
O20 0.620 0.498 0.387
Li2 0.873 0.070 0.733
O21 0.834 0.886 0.461
P4 0.141 0.476 0.754
O22 0.732 0.123 0.353
Ti3 0.500 0.500 0.500
O23 0.166 0.114 0.539
P5 0.087 0.178 0.432
O24 0.525 0.708 0.504
O25 0.751 0.468 0.226
O26 0.731 0.063 0.105
O27 0.769 0.063 0.605
O28 0.380 0.504 0.108
P6 0.859 0.524 0.246
O29 0.523 0.712 0.006
O30 0.268 0.877 0.647
P7 0.913 0.822 0.568
O31 0.269 0.937 0.895
O32 0.475 0.292 0.496
P8 0.925 0.817 0.084
O33 0.078 0.556 0.339
O34 0.149 0.298 0.318
O35 0.012 0.092 0.847
P9 0.249 0.983 0.022
O36 0.334 0.114 0.039
O37 0.143 0.299 0.809
O38 0.512 0.908 0.653
P10 0.641 0.524 0.746
O39 0.041 0.067 0.364
P11 0.575 0.817 0.584
O40 0.422 0.556 0.839
P12 0.251 0.983 0.522
Ti4 0.500 0.500 0.000
P13 0.075 0.183 0.916
O41 0.975 0.708 0.004
O42 0.025 0.292 0.996
P14 0.856 0.527 0.743
O43 0.851 0.702 0.682
P15 0.356 0.473 0.757
O44 0.977 0.712 0.506
O45 0.655 0.897 0.489
O46 0.351 0.298 0.818
O47 0.232 0.877 0.147
O48 0.155 0.103 0.011
O49 0.424 0.557 0.336
Li3 0.627 0.070 0.233
O50 0.023 0.288 0.494
O51 0.924 0.443 0.164
P16 0.644 0.527 0.243
P17 0.413 0.178 0.932
O52 0.578 0.444 0.161
P18 0.749 0.017 0.478
Li4 0.127 0.930 0.267
P19 0.587 0.822 0.068
P20 0.425 0.183 0.416
O53 0.959 0.933 0.636
O54 0.666 0.886 0.961
O55 0.120 0.504 0.608
O56 0.749 0.468 0.726
O57 0.576 0.443 0.664
O58 0.076 0.557 0.836
O59 0.249 0.532 0.774
O60 0.880 0.498 0.887


No. 2
# LiTi2P3O12, optimized geometry, DFT PBE-GGA
# Space group   No. 1
# E   -557.0 eV for the cell shown
# Formation energy   -3.010 eV/atom
# Calculated density   2.9 Mg/m³
data_LiTi2P3O12
_cell_length_a 8.617
_cell_length_b 8.681
_cell_length_c 11.999
_cell_angle_alpha 89.94
_cell_angle_beta 89.51
_cell_angle_gamma 89.91
_symmetry_space_group_name_H-M 'P 1'
_symmetry_Int_Tables_number 1
loop_
_symmetry_equiv_pos_as_xyz
'x,y,z'
loop_
_atom_site_label
_atom_site_fract_x
_atom_site_fract_y
_atom_site_fract_z
P1 0.397 0.391 0.647
O1 0.559 0.364 0.069
P2 0.103 0.892 0.855
O2 0.075 0.105 0.144
P3 0.392 0.116 0.351
Ti1 0.251 0.541 0.890
O3 0.071 0.318 0.400
Ti2 0.752 0.531 0.621
Li1 0.201 0.222 0.820
O4 0.166 0.834 0.570
O5 0.848 0.992 0.238
O6 0.439 0.638 0.930
O7 0.332 0.231 0.682
Li2 0.080 0.298 0.237
Ti3 0.258 0.475 0.386
P4 0.893 0.105 0.143
O8 0.691 0.991 0.726
O9 0.664 0.659 0.063
O10 0.162 0.013 0.769
O11 0.135 0.786 0.178
O12 0.575 0.178 0.906
O13 0.661 0.496 0.265
O14 0.392 0.130 0.071
O15 0.822 0.058 0.033
O16 0.850 0.273 0.176
O17 0.113 0.629 0.431
O18 0.926 0.891 0.860
O19 0.847 0.423 0.975
P5 0.101 0.616 0.149
O20 0.334 0.335 0.933
P6 0.610 0.610 0.357
O21 0.810 0.490 0.773
O22 0.175 0.938 0.968
O23 0.630 0.711 0.671
O24 0.565 0.083 0.332
O25 0.870 0.211 0.830
O26 0.675 0.560 0.469
Ti4 0.263 0.966 0.111
Li3 0.070 0.918 0.298
P7 0.470 0.253 0.994
Li4 0.299 0.722 0.681
O27 0.326 0.436 0.533
P8 0.896 0.385 0.855
P9 0.032 0.751 0.507
P10 0.603 0.883 0.646
O28 0.663 0.774 0.328
O29 0.338 0.512 0.733
O30 0.188 0.501 0.226
O31 0.652 0.922 0.526
O32 0.064 0.140 0.567
P11 0.964 0.249 0.492
O33 0.928 0.584 0.163
O34 0.894 0.372 0.569
O35 0.349 0.081 0.475
O36 0.426 0.911 0.661
O37 0.608 0.871 0.927
O38 0.359 0.287 0.325
O39 0.574 0.389 0.642
O40 0.835 0.155 0.437
O41 0.293 0.008 0.278
O42 0.923 0.680 0.593
Ti5 0.747 0.467 0.119
O43 0.153 0.585 0.027
Ti6 0.740 0.968 0.383
O44 0.168 0.732 0.820
O45 0.428 0.608 0.361
O46 0.426 0.821 0.091
Ti7 0.748 0.033 0.878
P12 0.537 0.748 0.003
O47 0.074 0.411 0.840
Ti8 0.247 0.041 0.611
O48 0.951 0.865 0.428


No. 3
# LiTiP2O7, optimized geometry, DFT PBE-GGA
# Space group   No. 4
# E   -163.9 eV for the cell shown
# Formation energy   -2.863 eV/atom
# Calculated density   2.8 Mg/m³
data_LiTiP2O7
_cell_length_a 4.949
_cell_length_b 7.048
_cell_length_c 8.288
_cell_angle_alpha 90.00
_cell_angle_beta 90.00
_cell_angle_gamma 108.86
_symmetry_space_group_name_H-M 'P 1'
_symmetry_Int_Tables_number 1
loop_
_symmetry_equiv_pos_as_xyz
'x,y,z'
loop_
_atom_site_label
_atom_site_fract_x
_atom_site_fract_y
_atom_site_fract_z
O1 0.199 0.490 0.979
P1 0.216 0.082 0.731
O2 0.957 0.144 0.775
O3 0.801 0.510 0.479
O4 0.602 0.397 0.119
P2 0.784 0.918 0.231
O5 0.399 0.243 0.599
Li1 0.807 0.321 0.305
P3 0.596 0.475 0.623
O6 0.398 0.603 0.619
O7 0.043 0.856 0.275
O8 0.868 0.119 0.142
Ti1 0.791 0.272 0.941
P4 0.404 0.525 0.123
O9 0.752 0.492 0.785
O10 0.132 0.881 0.642
O11 0.399 0.078 0.878
O12 0.248 0.508 0.285
O13 0.601 0.757 0.099
Li2 0.193 0.679 0.805
Ti2 0.209 0.728 0.441
O14 0.601 0.922 0.378


No. 4
# LiTi2P3O12, optimized geometry, DFT PBE-GGA
# Space group   No. 2
# E   -556.7 eV for the cell shown
# Formation energy   -3.006 eV/atom
# Calculated density   2.8 Mg/m³
data_LiTi2P3O12
_cell_length_a 8.368
_cell_length_b 8.965
_cell_length_c 14.848
_cell_angle_alpha 85.30
_cell_angle_beta 73.82
_cell_angle_gamma 117.65
_symmetry_space_group_name_H-M 'P 1'
_symmetry_Int_Tables_number 1
loop_
_symmetry_equiv_pos_as_xyz
'x,y,z'
loop_
_atom_site_label
_atom_site_fract_x
_atom_site_fract_y
_atom_site_fract_z
O1 0.208 0.079 0.498
O2 0.202 0.580 0.996
Ti1 0.360 0.388 0.674
O3 0.539 0.106 0.088
O4 0.263 0.330 0.948
O5 0.792 0.921 0.502
O6 0.457 0.392 0.414
Ti2 0.851 0.637 0.928
Ti3 0.348 0.881 0.171
O7 0.737 0.670 0.052
O8 0.845 0.353 0.736
O9 0.117 0.796 0.936
O10 0.461 0.894 0.912
O11 0.003 0.110 0.313
O12 0.514 0.290 0.611
O13 0.997 0.890 0.687
O14 0.543 0.608 0.586
O15 0.117 0.644 0.633
O16 0.486 0.710 0.389
P1 0.465 0.871 0.374
Ti4 0.855 0.141 0.427
O17 0.380 0.976 0.602
O18 0.488 0.927 0.266
P2 0.036 0.517 0.731
O19 0.620 0.024 0.398
O20 0.261 0.826 0.439
O21 0.101 0.279 0.445
O22 0.883 0.204 0.064
O23 0.623 0.519 0.898
Ti5 0.640 0.612 0.326
Li1 0.927 0.241 0.628
O24 0.798 0.420 0.004
O25 0.819 0.542 0.262
P3 0.754 0.735 0.516
Li2 0.737 0.972 0.160
Ti6 0.149 0.363 0.072
Li3 0.263 0.028 0.840
O26 0.155 0.647 0.264
O27 0.208 0.312 0.584
O28 0.002 0.397 0.187
O29 0.377 0.481 0.102
O30 0.879 0.854 0.867
P4 0.964 0.483 0.269
P5 0.460 0.372 0.876
Li4 0.073 0.759 0.372
O31 0.121 0.146 0.133
P6 0.248 0.768 0.982
Ti7 0.145 0.859 0.573
O32 0.792 0.688 0.416
P7 0.535 0.129 0.626
O33 0.512 0.073 0.734
P8 0.540 0.628 0.124
P9 0.031 0.017 0.233
O34 0.181 0.458 0.738
P10 0.246 0.265 0.484
O35 0.739 0.174 0.561
O36 0.471 0.203 0.887
O37 0.998 0.603 0.813
O38 0.778 0.183 0.919
O39 0.165 0.135 0.762
O40 0.883 0.356 0.367
O41 0.524 0.571 0.229
O42 0.899 0.721 0.555
O43 0.168 0.950 0.245
O44 0.476 0.429 0.771
O45 0.832 0.050 0.755
Ti8 0.652 0.119 0.829
P11 0.969 0.983 0.767
O46 0.222 0.817 0.081
P12 0.752 0.232 0.018
O47 0.835 0.865 0.238
O48 0.529 0.797 0.113


No. 5
# LiTi2Zn2P2O10, optimized geometry, DFT PBE-GGA
# Space group   No. 1
# E   -116.2 eV for the cell shown
# Formation energy   -2.505 eV/atom
# Calculated density   3.7 Mg/m³
data_LiTi2Zn2P2O10
_cell_length_a 5.694
_cell_length_b 7.320
_cell_length_c 8.331
_cell_angle_alpha 90.13
_cell_angle_beta 42.24
_cell_angle_gamma 108.41
_symmetry_space_group_name_H-M 'P 1'
_symmetry_Int_Tables_number 1
loop_
_symmetry_equiv_pos_as_xyz
'x,y,z'
loop_
_atom_site_label
_atom_site_fract_x
_atom_site_fract_y
_atom_site_fract_z
Zn1 0.521 0.297 0.175
O1 0.506 0.085 0.766
O2 0.529 0.576 0.228
O3 0.488 0.240 0.409
Ti1 0.498 0.013 0.519
P1 0.477 0.734 0.145
O4 0.584 0.771 0.534
O5 0.406 0.884 0.295
O6 0.860 0.848 0.844
P2 0.520 0.267 0.858
O7 0.156 0.170 0.160
Ti2 0.495 0.482 0.510
O8 0.523 0.440 0.751
O9 0.142 0.641 0.189
Zn2 0.771 0.768 0.656
Li1 0.059 0.872 0.143
O10 0.872 0.359 0.803


No. 6
# LiTi2Zn2P2O10, optimized geometry, DFT PBE-GGA
# Space group   No. 1
# E   -116.2 eV for the cell shown
# Formation energy   -2.503 eV/atom
# Calculated density   3.7 Mg/m³
data_LiTi2Zn2P2O10
_cell_length_a 5.716
_cell_length_b 7.509
_cell_length_c 8.087
_cell_angle_alpha 90.60
_cell_angle_beta 42.16
_cell_angle_gamma 108.64
_symmetry_space_group_name_H-M 'P 1'
_symmetry_Int_Tables_number 1
loop_
_symmetry_equiv_pos_as_xyz
'x,y,z'
loop_
_atom_site_label
_atom_site_fract_x
_atom_site_fract_y
_atom_site_fract_z
P1 0.461 0.734 0.156
O1 0.567 0.430 0.734
Li1 0.993 0.634 0.684
O2 0.512 0.252 0.411
P2 0.553 0.255 0.842
O3 0.461 0.741 0.595
O4 0.650 0.111 0.681
Ti1 0.514 0.495 0.508
O5 0.468 0.559 0.252
O6 0.140 0.655 0.182
O7 0.857 0.347 0.828
O8 0.155 0.136 0.145
Zn1 0.378 0.260 0.256
Ti2 0.526 0.011 0.479
O9 0.377 0.869 0.320
Zn2 0.496 0.804 0.807
O10 0.845 0.843 0.847


No. 7
# LiTi2Zn2P2O10, optimized geometry, DFT PBE-GGA
# Space group   No. 1
# E   -116.4 eV for the cell shown
# Formation energy   -2.513 eV/atom
# Calculated density   3.9 Mg/m³
data_LiTi2Zn2P2O10
_cell_length_a 5.757
_cell_length_b 7.073
_cell_length_c 8.304
_cell_angle_alpha 90.48
_cell_angle_beta 40.00
_cell_angle_gamma 106.52
_symmetry_space_group_name_H-M 'P 1'
_symmetry_Int_Tables_number 1
loop_
_symmetry_equiv_pos_as_xyz
'x,y,z'
loop_
_atom_site_label
_atom_site_fract_x
_atom_site_fract_y
_atom_site_fract_z
O1 0.772 0.329 0.869
Zn1 0.734 0.750 0.697
O2 0.335 0.904 0.331
O3 0.133 0.065 0.074
Li1 0.062 0.785 0.020
P1 0.548 0.248 0.821
Zn2 0.409 0.271 0.252
O4 0.503 0.435 0.766
O5 0.791 0.167 0.580
O6 0.514 0.262 0.423
O7 0.106 0.656 0.211
Ti1 0.544 0.005 0.471
O8 0.483 0.591 0.257
P2 0.433 0.751 0.167
Ti2 0.435 0.505 0.549
O9 0.435 0.756 0.667
O10 0.839 0.871 0.863


No. 8
# LiTi2Zn2P2O10, optimized geometry, DFT PBE-GGA
# Space group   No. 1
# E   -116.3 eV for the cell shown
# Formation energy   -2.509 eV/atom
# Calculated density   3.7 Mg/m³
data_LiTi2Zn2P2O10
_cell_length_a 5.703
_cell_length_b 7.236
_cell_length_c 8.253
_cell_angle_alpha 90.36
_cell_angle_beta 42.76
_cell_angle_gamma 109.14
_symmetry_space_group_name_H-M 'P 1'
_symmetry_Int_Tables_number 1
loop_
_symmetry_equiv_pos_as_xyz
'x,y,z'
loop_
_atom_site_label
_atom_site_fract_x
_atom_site_fract_y
_atom_site_fract_z
O1 0.474 0.752 0.601
O2 0.846 0.359 0.808
P1 0.491 0.754 0.146
Zn1 0.477 0.770 0.827
O3 0.404 0.404 0.815
Li1 0.121 0.270 0.415
P2 0.458 0.247 0.904
O4 0.505 0.085 0.769
O5 0.837 0.847 0.843
Zn2 0.806 0.257 0.054
O6 0.485 0.580 0.254
O7 0.480 0.255 0.396
Ti1 0.511 0.507 0.498
Ti2 0.460 0.008 0.529
O8 0.112 0.157 0.199
O9 0.130 0.664 0.208
O10 0.512 0.936 0.242


No. 9
# LiTi2Zn2P2O10, optimized geometry, DFT PBE-GGA
# Space group   No. 2
# E   -116.4 eV for the cell shown
# Formation energy   -2.516 eV/atom
# Calculated density   3.7 Mg/m³
data_LiTi2Zn2P2O10
_cell_length_a 5.565
_cell_length_b 7.419
_cell_length_c 7.971
_cell_angle_alpha 88.57
_cell_angle_beta 43.44
_cell_angle_gamma 107.00
_symmetry_space_group_name_H-M 'P 1'
_symmetry_Int_Tables_number 1
loop_
_symmetry_equiv_pos_as_xyz
'x,y,z'
loop_
_atom_site_label
_atom_site_fract_x
_atom_site_fract_y
_atom_site_fract_z
Zn1 0.232 0.234 0.343
P1 0.543 0.269 0.852
O1 0.472 0.745 0.609
O2 0.490 0.437 0.776
Ti1 0.500 0.000 0.500
O3 0.528 0.255 0.391
O4 0.153 0.137 0.149
Ti2 0.500 0.500 0.500
O5 0.511 0.563 0.223
O6 0.132 0.640 0.181
O7 0.869 0.360 0.818
O8 0.644 0.140 0.675
Zn2 0.768 0.766 0.656
P2 0.457 0.731 0.147
Li1 0.000 0.500 0.000
O9 0.357 0.860 0.324
O10 0.847 0.863 0.850


No. 10
# LiTi2Zn2P2O10, optimized geometry, DFT PBE-GGA
# Space group   No. 1
# E   -116.0 eV for the cell shown
# Formation energy   -2.489 eV/atom
# Calculated density   3.6 Mg/m³
data_LiTi2Zn2P2O10
_cell_length_a 5.653
_cell_length_b 7.648
_cell_length_c 8.054
_cell_angle_alpha 90.42
_cell_angle_beta 42.33
_cell_angle_gamma 108.69
_symmetry_space_group_name_H-M 'P 1'
_symmetry_Int_Tables_number 1
loop_
_symmetry_equiv_pos_as_xyz
'x,y,z'
loop_
_atom_site_label
_atom_site_fract_x
_atom_site_fract_y
_atom_site_fract_z
O1 0.152 0.649 0.172
O2 0.372 0.873 0.307
O3 0.484 0.245 0.433
O4 0.515 0.433 0.754
O5 0.673 0.143 0.660
O6 0.852 0.365 0.830
Zn1 0.368 0.273 0.264
P1 0.470 0.730 0.153
Li1 0.101 0.893 0.225
Ti1 0.479 0.490 0.512
O7 0.862 0.838 0.847
O8 0.471 0.563 0.257
O9 0.555 0.766 0.551
P2 0.559 0.273 0.832
O10 0.157 0.143 0.138
Ti2 0.492 0.004 0.500
Zn2 0.595 0.717 0.760